1.
A relaxed EuPdO3 crystal, computed with PBE.

Structure (extended XYZ):
```
5
Lattice="4.029 0.000 0.000 0.000 4.029 0.000 0.000 0.000 4.029" Properties=species:S:1:pos:R:3 pbc="T T T"
Eu 0.000 0.000 0.000
Pd 2.015 2.015 2.015
O 2.015 2.015 0.000
O 2.015 0.000 2.015
O 0.000 2.015 2.015
```

Computed properties:
V: 65 Å³/f.u.
energy relative to the elements: -173 kJ per mole of atoms
space group: No. 221

2.
A relaxed Eu4PdO7 crystal, computed with PBE.

Structure (extended XYZ):
```
24
Lattice="-2.595 6.260 1.281 -4.816 -0.048 -5.368 -7.325 -0.960 3.004" Properties=species:S:1:pos:R:3 pbc="T T T"
Eu -5.412 4.690 -0.423
Eu -9.323 0.562 -0.661
Eu -2.661 2.096 0.084
Eu -12.075 3.156 -1.167
Eu -5.492 1.002 -2.147
Eu -9.244 4.250 1.064
Eu -6.232 1.522 1.389
Eu -8.504 3.730 -2.473
Pd 0.000 0.000 0.000
Pd -3.662 -0.480 1.502
O -5.964 3.925 2.015
O -8.772 1.327 -3.099
O -3.123 0.783 -1.755
O -11.612 4.469 0.672
O -6.305 3.088 -2.851
O -8.430 2.164 1.768
O -4.949 2.401 -0.320
O -9.786 2.851 -0.763
O -6.506 0.031 -4.174
O -8.229 5.221 3.090
O -3.160 4.502 0.465
O -11.576 0.751 -1.548
O -7.026 0.371 -0.469
O -7.710 4.881 -0.615
```

Computed properties:
V: 178 Å³/f.u.
energy relative to the elements: -267 kJ per mole of atoms
space group: No. 2

3.
A relaxed PmEuO3 crystal, computed with PBE.

Structure (extended XYZ):
```
5
Lattice="-1.793 2.050 3.515 0.004 -3.841 2.242 4.069 0.907 1.547" Properties=species:S:1:pos:R:3 pbc="T T T"
Pm 1.140 -0.442 3.652
Eu 0.000 0.000 0.000
O -0.895 -0.895 2.878
O 1.138 1.478 2.531
O 2.037 -1.467 1.894
```

Computed properties:
V: 88 Å³/f.u.
energy relative to the elements: -275 kJ per mole of atoms
space group: No. 221

4.
A relaxed PrEu2SbO6 crystal, computed with PBE.

Structure (extended XYZ):
```
40
Lattice="8.497 0.000 0.000 0.000 8.497 0.000 0.000 0.000 8.497" Properties=species:S:1:pos:R:3 pbc="T T T"
Pr 6.373 6.373 6.373
Pr 6.373 2.124 2.124
Pr 2.124 6.373 2.124
Pr 2.124 2.124 6.373
Eu 4.248 4.248 4.248
Eu 0.000 0.000 0.000
Eu 0.000 0.000 4.248
Eu 0.000 4.248 0.000
Eu 4.248 0.000 0.000
Eu 4.248 4.248 0.000
Eu 4.248 0.000 4.248
Eu 0.000 4.248 4.248
Sb 2.124 2.124 2.124
Sb 2.124 6.373 6.373
Sb 6.373 2.124 6.373
Sb 6.373 6.373 2.124
O 1.790 2.536 4.071
O 1.790 5.961 4.426
O 6.706 2.536 4.426
O 6.706 5.961 4.071
O 2.536 4.071 1.790
O 5.961 4.426 1.790
O 2.536 4.426 6.706
O 5.961 4.071 6.706
O 4.071 1.790 2.536
O 4.426 1.790 5.961
O 4.426 6.706 2.536
O 4.071 6.706 5.961
O 2.458 1.712 0.177
O 2.458 6.784 8.320
O 6.039 1.712 8.320
O 6.039 6.784 0.177
O 1.712 0.177 2.458
O 6.784 8.320 2.458
O 1.712 8.320 6.039
O 6.784 0.177 6.039
O 0.177 2.458 1.712
O 8.320 2.458 6.784
O 8.320 6.039 1.712
O 0.177 6.039 6.784
```

Computed properties:
V: 153 Å³/f.u.
energy relative to the elements: -283 kJ per mole of atoms
space group: No. 201

5.
A relaxed PrEu2SbO6 crystal, computed with PBE.

Structure (extended XYZ):
```
10
Lattice="4.544 -1.718 -3.655 -0.222 1.288 -5.937 3.753 4.166 -2.349" Properties=species:S:1:pos:R:3 pbc="T T T"
Pr 0.000 0.000 0.000
Eu 2.019 0.934 -2.985
Eu 6.056 2.802 -8.956
Sb 4.038 1.868 -5.971
O 4.272 0.205 -4.897
O 3.803 3.531 -7.045
O 6.013 2.137 -5.986
O 2.062 1.599 -5.955
O 4.169 0.802 -7.651
O 3.906 2.934 -4.291
```

Computed properties:
V: 159 Å³/f.u.
energy relative to the elements: -276 kJ per mole of atoms
space group: No. 225

6.
A relaxed Eu2Pt2O7 crystal, computed with PBE.

Structure (extended XYZ):
```
22
Lattice="-2.165 0.568 7.043 -3.241 6.200 2.381 -7.201 0.002 1.663" Properties=species:S:1:pos:R:3 pbc="T T T"
Eu -2.659 1.130 4.907
Eu -3.196 3.946 2.576
Eu -5.176 0.847 2.218
Eu -1.576 0.846 1.386
Pt -6.797 3.947 3.408
Pt -6.259 1.131 5.739
Pt -4.279 4.231 6.098
Pt -7.879 4.231 6.929
O -3.152 1.693 2.772
O 0.000 0.000 0.000
O -5.929 4.798 7.164
O -6.678 1.972 3.923
O -7.583 2.209 6.865
O -5.025 4.561 4.223
O -8.032 4.561 4.917
O -4.575 2.209 6.170
O -9.830 3.665 6.695
O -9.081 6.491 9.936
O -8.176 6.253 6.994
O -10.734 3.902 9.636
O -7.727 3.901 8.942
O -11.184 6.254 7.689
```

Computed properties:
V: 143 Å³/f.u.
energy relative to the elements: -202 kJ per mole of atoms
space group: No. 227